# LiMg14CoO16 | Materials Project | PBE+U | relaxed
data_LiMg14CoO16
_chemical_formula_sum 'Li1 Mg14 Co1 O16'
_cell_length_a 8.481
_cell_length_b 8.481
_cell_length_c 4.255
_cell_angle_alpha 90.00
_cell_angle_beta 90.00
_cell_angle_gamma 90.00
_space_group_name_H-M_alt 'P 4/m m m'
_space_group_IT_number 123
_space_group_name_Hall '-P 4 2'
loop_
_atom_site_label
_atom_site_fract_x
_atom_site_fract_y
_atom_site_fract_z
Li1 0.000 0.000 0.000
Mg1 0.000 0.243 0.500
Mg2 0.000 0.500 0.000
Mg3 0.244 0.244 0.000
Mg4 0.249 0.500 0.500
Co1 0.500 0.500 0.000
O1 0.000 0.000 0.500
O2 0.000 0.261 0.000
O3 0.000 0.500 0.500
O4 0.252 0.252 0.500
O5 0.262 0.500 0.000
O6 0.500 0.500 0.500
# VASP energy ... -5.91 eV per atom
# Polymorph energy (0 for the lowest one) ... 0.0049 eV/atom
# ΔE_f ... -2.850 eV/atom